# RbYO3

Crystalline RbYO3 at its relaxed geometry (GGA-PBE, the Materials Project).

Output
space group = Pm-3m (221)
total magnetization = 0.40 μB per atom
E = -6.313 eV/atom

abc: 4.5431 4.5431 4.5431
angles: 90.00 90.00 90.00
Sites, in units of the cell vectors:
Rb  0.0000  0.0000  0.0000
Y  0.5000  0.5000  0.5000
O  0.5000  0.5000  0.0000
O  0.5000  0.0000  0.5000
O  0.0000  0.5000  0.5000